(1)
The following is a PBE calculation of a relaxed KAl3Si3O12 crystal, from the Materials Project database.

**MP2020-corrected energy**: -7.5852 eV per atom
**Symmetry**: Cc, No. 9

Unit cell a=5.2991 b=5.2991 c=20.5917 alpha=86.74 beta=86.74 gamma=119.95
With the nearest neighbours (Å) after each atom.
Element x y z (fractional)
Al 0.6122 0.4620 0.1352  4 O 1.75-1.76
O 0.8822 0.3805 0.5560  1 Si 1.68, 1 Al 1.86
O 0.3573 0.1038 0.1688  1 Si 1.63, 1 Al 1.76
O 0.7000 0.5100 0.6679  1 Si 1.63, 1 Al 1.75
O 0.0671 0.9830 0.5318  1 O 1.58
Si 0.3919 0.5368 0.8664  4 O 1.62-1.66
O 0.3805 0.8822 0.0560  1 Si 1.68, 1 Al 1.86
O 0.1218 0.6174 0.4452  1 Si 1.63
O 0.9830 0.0671 0.0318  1 O 1.58
O 0.9436 0.0146 0.4658  1 O 1.58
O 0.5320 0.3485 0.8344  2 Si 1.66
Al 0.8060 0.6253 0.5029  6 O 1.84-2.02
O 0.1038 0.3573 0.6688  1 Si 1.63, 1 Al 1.76
O 0.4140 0.5280 0.9445  1 Si 1.62
O 0.5490 0.9592 0.6561  1 Si 1.62, 1 Al 1.75
O 0.5100 0.7000 0.1679  1 Si 1.63, 1 Al 1.75
Si 0.2958 0.8047 0.1374  4 O 1.62-1.68
O 0.0146 0.9436 0.9658  1 O 1.58
Al 0.3672 0.1816 0.0031  5 O 1.80-1.91
O 0.5779 0.4791 0.0506  3 Al 1.76-1.84
O 0.9592 0.5490 0.1561  1 Si 1.62, 1 Al 1.75
Al 0.1816 0.3672 0.5031  5 O 1.80-1.91
O 0.8803 0.5934 0.3333  2 Si 1.66
O 0.4083 0.0578 0.3446  2 Si 1.65
O 0.5280 0.4140 0.4445  1 Si 1.62
O 0.3485 0.5320 0.3344  2 Si 1.66
O 0.6174 0.1218 0.9452  1 Si 1.63
O 0.4791 0.5779 0.5506  3 Al 1.76-1.84
O 0.5934 0.8803 0.8333  2 Si 1.66
O 0.0578 0.4083 0.8446  2 Si 1.65
Si 0.5368 0.3919 0.3664  4 O 1.62-1.66
Al 0.4620 0.6122 0.6352  4 O 1.75-1.76
K 0.1029 0.9078 0.7392  3 O 2.71-2.73
Si 0.1919 0.7055 0.3666  4 O 1.63-1.66
Si 0.8047 0.2958 0.6374  4 O 1.62-1.68
K 0.9078 0.1029 0.2392  3 O 2.71-2.73
Si 0.7055 0.1919 0.8666  4 O 1.63-1.66
Al 0.6253 0.8060 0.0029  6 O 1.84-2.02


(2)
The following is a PBE calculation of a relaxed KAl2Si4O11 crystal, from the Materials Project database.

**MP2020-corrected energy**: -7.7842 eV per atom
**Symmetry**: C2/c, No. 15

Unit cell a=5.3322 b=5.3322 c=20.7578 alpha=87.21 beta=87.21 gamma=120.68
With the nearest neighbours (Å) after each atom.
Element x y z (fractional)
O 0.5927 0.1007 0.9435  1 Si 1.65
Si 0.7019 0.1869 0.8658  4 O 1.65-1.67
K 0.0998 0.9002 0.7500  10 O 2.98-3.31
O 0.4523 0.5292 0.9434  1 Si 1.64
Si 0.6005 0.4662 0.1340  4 O 1.64-1.67
O 0.5477 0.4708 0.0566  1 Si 1.64
Al 0.1834 0.3689 0.5000  3 O 1.69-1.86
O 0.5292 0.4523 0.4434  1 Si 1.64
O 0.1007 0.5927 0.4435  1 Si 1.65
O 0.4749 0.6630 0.1677  2 Si 1.67
Si 0.1869 0.7019 0.3658  4 O 1.65-1.67
O 0.8758 0.6048 0.3319  2 Si 1.67
O 0.5827 0.9425 0.6510  2 Si 1.66
O 0.3370 0.5251 0.3323  2 Si 1.67
K 0.9002 0.0998 0.2500  10 O 2.98-3.31
O 0.0000 0.0000 0.0000  2 Al 1.69
O 0.0575 0.4173 0.8490  2 Si 1.66
O 0.8993 0.4073 0.5565  1 Si 1.65
Si 0.5338 0.3995 0.3660  4 O 1.64-1.67
Al 0.3689 0.1834 0.0000  3 O 1.69-1.86
O 0.1242 0.3952 0.6681  2 Si 1.67
Si 0.2981 0.8131 0.1342  4 O 1.65-1.67
O 0.4708 0.5477 0.5566  1 Si 1.64
O 0.0000 0.0000 0.5000  2 Al 1.69
O 0.6630 0.4749 0.6677  2 Si 1.67
O 0.4073 0.8993 0.0565  1 Si 1.65
Si 0.3995 0.5338 0.8660  4 O 1.64-1.67
O 0.5251 0.3370 0.8323  2 Si 1.67
O 0.3952 0.1242 0.1681  2 Si 1.67
O 0.4173 0.0575 0.3490  2 Si 1.66
Si 0.4662 0.6005 0.6340  4 O 1.64-1.67
Al 0.8166 0.6311 0.5000  3 O 1.69-1.86
O 0.6048 0.8758 0.8319  2 Si 1.67
Si 0.8131 0.2981 0.6342  4 O 1.65-1.67
Al 0.6311 0.8166 0.0000  3 O 1.69-1.86
O 0.9425 0.5827 0.1510  2 Si 1.66


(3)
The following is a PBE calculation of a relaxed K4Al3Si3O12 crystal, from the Materials Project database.

**MP2020-corrected energy**: -7.1846 eV per atom
**Symmetry**: P-43n, No. 218

Unit cell a=9.3602 b=9.3602 c=9.3602 alpha=90.00 beta=90.00 gamma=90.00
With the nearest neighbours (Å) after each atom.
Element x y z (fractional)
O 0.1532 0.1439 0.4757  1 Si 1.64, 1 Al 1.76
Al 0.0000 0.7500 0.5000  4 O 1.76
O 0.9757 0.6439 0.6532  1 Si 1.64, 1 Al 1.76
Al 0.7500 0.5000 0.0000  4 O 1.76
O 0.1532 0.8561 0.5243  1 Si 1.64, 1 Al 1.76
O 0.8468 0.8561 0.4757  1 Si 1.64, 1 Al 1.76
O 0.3468 0.0243 0.6439  1 Si 1.64, 1 Al 1.76
Si 0.0000 0.5000 0.7500  4 O 1.64
K 0.6829 0.3171 0.3171  6 O 2.78-2.96
Si 0.5000 0.7500 0.0000  4 O 1.64
K 0.8171 0.1829 0.8171  6 O 2.78-2.96
O 0.6439 0.6532 0.9757  1 Si 1.64, 1 Al 1.76
O 0.5243 0.8468 0.1439  1 Si 1.64, 1 Al 1.76
O 0.6532 0.9757 0.6439  1 Si 1.64, 1 Al 1.76
Al 0.2500 0.5000 0.0000  4 O 1.76
O 0.8561 0.5243 0.1532  1 Si 1.64, 1 Al 1.76
Si 0.5000 0.2500 0.0000  4 O 1.64
O 0.4757 0.8468 0.8561  1 Si 1.64, 1 Al 1.76
O 0.0243 0.3561 0.6532  1 Si 1.64, 1 Al 1.76
K 0.6829 0.6829 0.6829  6 O 2.78-2.96
K 0.8171 0.8171 0.1829  6 O 2.78-2.96
O 0.5243 0.1532 0.8561  1 Si 1.64, 1 Al 1.76
Al 0.0000 0.2500 0.5000  4 O 1.76
Al 0.5000 0.0000 0.2500  4 O 1.76
O 0.6532 0.0243 0.3561  1 Si 1.64, 1 Al 1.76
O 0.3561 0.6532 0.0243  1 Si 1.64, 1 Al 1.76
O 0.4757 0.1532 0.1439  1 Si 1.64, 1 Al 1.76
Si 0.0000 0.5000 0.2500  4 O 1.64
O 0.9757 0.3561 0.3468  1 Si 1.64, 1 Al 1.76
Al 0.5000 0.0000 0.7500  4 O 1.76
O 0.3468 0.9757 0.3561  1 Si 1.64, 1 Al 1.76
O 0.1439 0.4757 0.1532  1 Si 1.64, 1 Al 1.76
O 0.1439 0.5243 0.8468  1 Si 1.64, 1 Al 1.76
O 0.6439 0.3468 0.0243  1 Si 1.64, 1 Al 1.76
K 0.3171 0.3171 0.6829  6 O 2.78-2.96
K 0.1829 0.8171 0.8171  6 O 2.78-2.96
O 0.0243 0.6439 0.3468  1 Si 1.64, 1 Al 1.76
O 0.3561 0.3468 0.9757  1 Si 1.64, 1 Al 1.76
Si 0.2500 0.0000 0.5000  4 O 1.64
O 0.8468 0.1439 0.5243  1 Si 1.64, 1 Al 1.76
K 0.3171 0.6829 0.3171  6 O 2.78-2.96
K 0.1829 0.1829 0.1829  6 O 2.78-2.96
Si 0.7500 0.0000 0.5000  4 O 1.64
O 0.8561 0.4757 0.8468  1 Si 1.64, 1 Al 1.76


DFT formation energy / eV per atom: -2.954 -3.077 -3.033